1.
A geometry-optimized Mg3TcH7 structure, computed with PBE.

Geometry as extended XYZ:
```
22
Lattice="2.420 -4.192 0.000 2.420 4.192 0.000 0.000 0.000 10.537" Properties=species:S:1:pos:R:3 pbc="T T T"
H 1.224 -0.707 1.034
Tc 0.000 0.000 0.000
H 1.224 0.707 9.504
H 2.420 -1.397 7.903
Mg 2.420 1.397 4.558
H 2.420 2.779 9.504
Mg 0.000 0.000 7.903
H 3.617 0.707 6.302
Mg 2.420 -1.397 5.979
H 2.420 -2.779 4.235
Mg 0.000 0.000 2.634
H 1.224 -0.707 4.235
H 3.617 -0.707 1.034
H 2.420 1.397 2.634
H 3.617 0.707 9.504
H 1.224 0.707 6.302
H 2.420 2.779 6.302
Mg 2.420 -1.397 9.827
H 3.617 -0.707 4.235
H 2.420 -2.779 1.034
Tc 0.000 0.000 5.269
Mg 2.420 1.397 0.710
```

Results
The calculated formation energy is -390 meV per atom. For the calculated density, the calculation gives 2.76 g/cm3. As for the raw total energy: -3.814 eV per atom.


2.
A geometry-optimized MgTiH4 structure, computed with PBE.

Geometry as extended XYZ:
```
6
Lattice="-0.874 1.807 2.426 0.794 -2.300 1.999 4.355 1.740 0.272" Properties=species:S:1:pos:R:3 pbc="T T T"
H 0.589 1.313 1.277
Ti 0.000 0.000 0.000
H 1.423 -0.740 1.064
H 3.726 0.180 1.208
Mg 2.138 0.624 2.349
H 2.893 2.234 1.421
```

Results
The calculated formation energy is -387 meV per atom. For the calculated density, the calculation gives 2.72 g/cm3. As for the raw total energy: -4.112 eV per atom.


3.
A geometry-optimized MgTi7H16 structure, computed with PBE.

Geometry as extended XYZ:
```
24
Lattice="-3.442 2.203 4.774 -0.558 6.198 0.873 -5.484 2.852 -1.134" Properties=species:S:1:pos:R:3 pbc="T T T"
H -1.214 1.441 0.578
H -6.591 8.738 1.606
Mg 0.000 0.000 0.000
H -5.595 8.421 4.488
H -3.562 4.226 1.695
Ti -3.021 4.525 -0.131
H -5.923 7.028 2.818
H -5.276 5.323 4.072
H -8.270 9.812 3.935
H -3.890 2.832 0.024
H -4.209 5.930 0.441
Ti -0.279 3.099 0.437
Ti -2.000 4.201 2.824
H -5.645 3.941 2.383
H -1.487 4.465 1.004
Ti -4.742 5.627 2.256
Ti -1.721 1.102 2.387
H -2.894 2.516 2.907
H -3.840 7.312 2.129
Ti -4.463 2.527 1.820
H -7.998 6.789 3.509
Ti -2.742 1.426 -0.567
H -3.192 5.608 3.383
H -6.293 5.646 1.130
```

Results
The calculated formation energy is -551 meV per atom. For the calculated density, the calculation gives 3.55 g/cm3. As for the raw total energy: -5.063 eV per atom.